1.
GaBi3Sb2O11 PBE-GGA relaxed; MP2020-corrected energy = -6.437 eV per atom; calculated formation energy = -1.88 eV per atom; VASP energy = -5.9922 eV/atom; ρ = 8.38 Mg/m³
1.0
9.620 0.000 0.000
0.000 9.543 0.000
0.000 9.530 9.640
O Bi Ga Sb
44 12 4 8
direct
0.416 0.708 0.255 O
0.084 0.720 0.243 O
0.251 0.359 0.749 O
0.536 0.660 0.085 O
0.742 0.621 0.964 O
0.148 0.999 0.853 O
0.916 0.720 0.743 O
0.392 0.996 0.253 O
0.351 0.795 0.853 O
0.243 0.951 0.463 O
0.464 0.660 0.585 O
0.536 0.336 0.414 O
0.244 0.049 0.038 O
0.757 0.951 0.963 O
0.608 0.996 0.753 O
0.250 0.640 0.111 O
0.352 0.205 0.646 O
0.913 0.287 0.752 O
0.464 0.336 0.914 O
0.036 0.335 0.913 O
0.648 0.205 0.146 O
0.588 0.291 0.747 O
0.750 0.371 0.540 O
0.750 0.366 0.886 O
0.108 0.998 0.251 O
0.750 0.640 0.611 O
0.248 0.637 0.751 O
0.752 0.637 0.251 O
0.892 0.998 0.751 O
0.964 0.669 0.085 O
0.250 0.371 0.040 O
0.250 0.366 0.386 O
0.087 0.287 0.252 O
0.649 0.795 0.353 O
0.148 0.002 0.646 O
0.258 0.621 0.464 O
0.852 0.999 0.353 O
0.852 0.002 0.146 O
0.964 0.335 0.413 O
0.412 0.291 0.247 O
0.756 0.049 0.538 O
0.036 0.669 0.585 O
0.749 0.359 0.249 O
0.584 0.708 0.755 O
0.519 0.518 0.995 Bi
0.380 0.008 0.876 Bi
0.000 0.985 0.510 Bi
0.620 0.008 0.376 Bi
0.618 0.985 0.127 Bi
0.382 0.985 0.627 Bi
0.000 0.985 0.010 Bi
0.115 0.745 0.873 Bi
0.876 0.266 0.124 Bi
0.124 0.266 0.624 Bi
0.481 0.518 0.495 Bi
0.885 0.745 0.373 Bi
0.249 0.840 0.253 Ga
0.751 0.840 0.753 Ga
0.248 0.660 0.589 Ga
0.752 0.660 0.089 Ga
0.910 0.503 0.748 Sb
0.250 0.147 0.253 Sb
0.590 0.505 0.748 Sb
0.749 0.343 0.405 Sb
0.410 0.505 0.248 Sb
0.750 0.147 0.753 Sb
0.251 0.343 0.905 Sb
0.090 0.503 0.248 Sb

---

2.
Ba PBE-GGA relaxed; calculated formation energy = 0.01 eV per atom; VASP energy = -1.9060 eV/atom; ρ = 3.56 Mg/m³; energy relative to the lowest polymorph listed for this composition = 13 meV per atom
1.0
0.699 4.268 1.213
1.173 3.048 -3.084
-2.915 3.189 -1.227
Ba
1
direct
0.000 0.000 0.000 Ba

---

3.
Mg3Pd PBE-GGA relaxed; calculated formation energy = -0.42 eV per atom; VASP energy = -2.9166 eV/atom; ρ = 3.79 Mg/m³
1.0
4.021 -6.965 0.000
4.021 6.965 0.000
0.000 0.000 8.411
Mg Pd
18 6
direct
0.719 0.719 0.739 Mg
0.000 0.719 0.239 Mg
0.333 0.667 0.616 Mg
0.376 0.376 0.895 Mg
0.667 0.333 0.616 Mg
0.000 0.000 0.997 Mg
0.719 0.000 0.239 Mg
0.281 0.000 0.739 Mg
0.000 0.281 0.739 Mg
0.281 0.281 0.239 Mg
0.333 0.667 0.116 Mg
0.000 0.624 0.895 Mg
0.624 0.624 0.395 Mg
0.667 0.333 0.116 Mg
0.376 0.000 0.395 Mg
0.000 0.000 0.497 Mg
0.624 0.000 0.895 Mg
0.000 0.376 0.395 Mg
0.672 0.672 0.067 Pd
0.672 0.000 0.567 Pd
0.000 0.672 0.567 Pd
0.328 0.328 0.567 Pd
0.328 0.000 0.067 Pd
0.000 0.328 0.067 Pd

---

4.
Sb2O3 PBE-GGA relaxed; MP2020-corrected energy = -6.112 eV per atom; calculated formation energy = -1.49 eV per atom; VASP energy = -5.6997 eV/atom; ρ = 5.32 Mg/m³
1.0
3.285 2.240 -5.426
-4.206 0.977 5.157
12.831 4.476 9.615
O Sb
12 8
direct
0.178 0.822 0.384 O
0.000 0.000 0.000 O
0.178 0.822 0.116 O
0.822 0.178 0.884 O
0.107 0.893 0.750 O
0.822 0.178 0.616 O
0.497 0.503 0.862 O
0.000 0.000 0.500 O
0.503 0.497 0.362 O
0.503 0.497 0.138 O
0.893 0.107 0.250 O
0.497 0.503 0.638 O
0.905 0.095 0.133 Sb
0.627 0.373 0.445 Sb
0.373 0.627 0.945 Sb
0.373 0.627 0.555 Sb
0.905 0.095 0.367 Sb
0.095 0.905 0.633 Sb
0.095 0.905 0.867 Sb
0.627 0.373 0.055 Sb

---

5.
Na4Sn3S8 PBE-GGA relaxed; MP2020-corrected energy = -4.364 eV per atom; calculated formation energy = -1.00 eV per atom; VASP energy = -4.0954 eV/atom; ρ = 3.09 Mg/m³
1.0
3.717 5.719 0.000
-3.717 5.719 0.000
0.000 1.544 17.795
Na Sn S
8 6 16
direct
0.233 0.486 0.164 Na
0.514 0.767 0.336 Na
0.902 0.572 0.624 Na
0.428 0.098 0.876 Na
0.098 0.428 0.376 Na
0.486 0.233 0.664 Na
0.767 0.514 0.836 Na
0.572 0.902 0.124 Na
0.065 0.732 0.968 Sn
0.083 0.917 0.750 Sn
0.935 0.268 0.032 Sn
0.268 0.935 0.532 Sn
0.732 0.065 0.468 Sn
0.917 0.083 0.250 Sn
0.329 0.266 0.516 S
0.671 0.734 0.484 S
0.662 0.299 0.350 S
0.299 0.662 0.850 S
0.253 0.113 0.247 S
0.747 0.887 0.753 S
0.869 0.171 0.573 S
0.131 0.829 0.427 S
0.887 0.747 0.253 S
0.266 0.329 0.016 S
0.701 0.338 0.150 S
0.113 0.253 0.747 S
0.338 0.701 0.650 S
0.829 0.131 0.927 S
0.171 0.869 0.073 S
0.734 0.671 0.984 S

---

6.
CeZn2AsO2 PBE-GGA relaxed; MP2020-corrected energy = -4.763 eV per atom; calculated formation energy = -0.93 eV per atom; VASP energy = -4.5339 eV/atom; ρ = 4.68 Mg/m³
1.0
3.236 0.000 0.000
0.000 3.236 0.000
0.000 0.000 12.799
Ce As Zn O
1 1 2 2
direct
0.500 0.500 0.500 Ce
0.500 0.500 0.000 As
0.500 0.500 0.197 Zn
0.500 0.500 0.803 Zn
0.500 0.500 0.656 O
0.500 0.500 0.344 O

---

7.
ErCd2Cu PBE-GGA relaxed; calculated formation energy = -0.15 eV per atom; VASP energy = -2.7761 eV/atom; ρ = 8.93 Mg/m³
1.0
3.478 -5.265 0.000
3.478 5.265 0.000
0.000 0.000 4.628
Cd Er Cu
4 2 2
direct
0.613 0.804 0.750 Cd
0.387 0.196 0.250 Cd
0.196 0.387 0.750 Cd
0.804 0.613 0.250 Cd
0.859 0.141 0.250 Er
0.141 0.859 0.750 Er
0.320 0.680 0.250 Cu
0.680 0.320 0.750 Cu

---

8.
LaTa2NO5 PBE-GGA relaxed; MP2020-corrected energy = -10.025 eV per atom; calculated formation energy = -3.17 eV per atom; VASP energy = -9.6432 eV/atom; ρ = 8.16 Mg/m³; energy relative to the lowest polymorph listed for this composition = 0 meV per atom
1.0
11.316 0.000 0.000
0.000 5.533 0.000
0.000 0.016 7.730
O Ta La N
20 8 4 4
direct
0.709 0.381 0.309 O
0.973 0.488 0.712 O
0.642 0.795 0.501 O
0.122 0.400 0.001 O
0.787 0.880 0.801 O
0.473 0.512 0.288 O
0.211 0.617 0.309 O
0.142 0.205 0.499 O
0.981 0.479 0.287 O
0.711 0.383 0.691 O
0.524 0.974 0.217 O
0.622 0.600 0.999 O
0.880 0.101 0.501 O
0.027 0.023 0.216 O
0.380 0.899 0.499 O
0.209 0.619 0.691 O
0.481 0.521 0.713 O
0.287 0.120 0.199 O
0.024 0.026 0.783 O
0.527 0.977 0.784 O
0.142 0.294 0.247 Ta
0.860 0.218 0.754 Ta
0.149 0.288 0.756 Ta
0.353 0.797 0.753 Ta
0.853 0.203 0.247 Ta
0.642 0.706 0.753 Ta
0.649 0.712 0.244 Ta
0.360 0.782 0.246 Ta
0.036 0.797 0.500 La
0.956 0.704 0.002 La
0.536 0.203 0.500 La
0.456 0.296 0.998 La
0.356 0.701 0.001 N
0.791 0.877 0.196 N
0.856 0.299 0.999 N
0.291 0.123 0.804 N

---

9.
CsLu4F13 PBE-GGA relaxed; MP2020-corrected energy = -6.759 eV per atom; calculated formation energy = -4.32 eV per atom; VASP energy = -6.4250 eV/atom; ρ = 5.63 Mg/m³
1.0
4.005 6.910 0.000
-4.005 6.910 0.000
0.000 0.133 17.260
Lu F Cs
12 39 3
direct
0.014 0.014 0.258 Lu
0.014 0.014 0.502 Lu
0.016 0.016 0.016 Lu
0.485 0.014 0.505 Lu
0.484 0.012 0.757 Lu
0.014 0.486 0.254 Lu
0.012 0.484 0.757 Lu
0.487 0.016 0.004 Lu
0.014 0.485 0.505 Lu
0.015 0.015 0.744 Lu
0.486 0.014 0.254 Lu
0.016 0.487 0.004 Lu
0.338 0.836 0.246 F
0.171 0.171 0.278 F
0.011 0.495 0.880 F
0.069 0.723 0.258 F
0.339 0.339 0.496 F
0.069 0.723 0.506 F
0.016 0.490 0.630 F
0.012 0.012 0.134 F
0.340 0.340 0.245 F
0.723 0.069 0.258 F
0.173 0.173 0.034 F
0.067 0.727 0.760 F
0.849 0.330 0.735 F
0.488 0.017 0.380 F
0.013 0.013 0.380 F
0.836 0.338 0.246 F
0.727 0.067 0.760 F
0.722 0.722 0.752 F
0.495 0.011 0.880 F
0.159 0.159 0.798 F
0.326 0.847 0.992 F
0.722 0.722 0.256 F
0.011 0.011 0.626 F
0.835 0.338 0.495 F
0.490 0.016 0.630 F
0.330 0.849 0.735 F
0.339 0.339 0.998 F
0.729 0.065 0.004 F
0.721 0.721 0.011 F
0.326 0.326 0.739 F
0.016 0.491 0.130 F
0.847 0.326 0.992 F
0.723 0.069 0.506 F
0.491 0.016 0.130 F
0.338 0.835 0.495 F
0.065 0.729 0.004 F
0.171 0.171 0.528 F
0.722 0.722 0.505 F
0.017 0.488 0.380 F
0.500 0.500 0.375 Cs
0.500 0.500 0.633 Cs
0.501 0.501 0.116 Cs

---

10.
Tb3Ge5 PBE-GGA relaxed; calculated formation energy = -0.72 eV per atom; VASP energy = -5.3499 eV/atom; ρ = 7.97 Mg/m³
1.0
0.000 6.919 8.716
2.901 0.000 8.716
2.901 6.919 0.000
Ge Tb
10 6
direct
0.923 0.751 0.254 Ge
0.701 0.799 0.701 Ge
0.178 0.996 0.499 Ge
0.254 0.072 0.923 Ge
0.451 0.549 0.451 Ge
0.780 0.851 0.032 Ge
0.032 0.337 0.780 Ge
0.399 0.470 0.913 Ge
0.499 0.327 0.178 Ge
0.913 0.218 0.399 Ge
0.664 0.673 0.354 Tb
0.251 0.249 0.251 Tb
0.941 0.896 0.577 Tb
0.354 0.309 0.664 Tb
0.577 0.586 0.941 Tb
0.001 0.999 0.001 Tb

---

11.
YSn3 PBE-GGA relaxed; calculated formation energy = -0.18 eV per atom; VASP energy = -4.7994 eV/atom; ρ = 6.62 Mg/m³
1.0
0.000 3.821 3.821
3.821 0.000 3.821
3.821 3.821 0.000
Sn Y
3 1
direct
0.750 0.750 0.750 Sn
0.250 0.250 0.250 Sn
0.500 0.500 0.500 Sn
0.000 0.000 0.000 Y

---

Q: Which value of VASP energy does entry 8 give?
A: -9.6432 eV/atom